# 1
{
  "formula": "Na6Y4Al4Si3S9O48",
  "functional": "GGA-PBE",
  "state": "optimized geometry",
  "corrected_energy_ev_per_atom": -7.20,
  "formation_energy_ev_per_atom": -2.61,
  "vol_a3_per_cell": 3127,
  "m_tot_mub_per_atom": 0.0000,
  "lattice": [[8.8661, 0.0000, 0.0000], [-0.0174, 15.3389, 0.0000], [-0.1399, -0.1623, 22.9910]],
  "species": ["Na", "Na", "Na", "Na", "Na", "Na", "Na", "Na", "Na", "Na", "Na", "Na", "Na", "Na", "Na", "Na", "Na", "Na", "Y", "Y", "Y", "Y", "Y", "Y", "Y", "Y", "Y", "Y", "Y", "Y", "Al", "Al", "Al", "Al", "Al", "Al", "Al", "Al", "Al", "Al", "Al", "Al", "Si", "Si", "Si", "Si", "Si", "Si", "Si", "Si", "Si", "S", "S", "S", "S", "S", "S", "S", "S", "S", "S", "S", "S", "S", "S", "S", "S", "S", "S", "S", "S", "S", "S", "S", "S", "S", "S", "S", "O", "O", "O", "O", "O", "O", "O", "O", "O", "O", "O", "O", "O", "O", "O", "O", "O", "O", "O", "O", "O", "O", "O", "O", "O", "O", "O", "O", "O", "O", "O", "O", "O", "O", "O", "O", "O", "O", "O", "O", "O", "O", "O", "O", "O", "O", "O", "O", "O", "O", "O", "O", "O", "O", "O", "O", "O", "O", "O", "O", "O", "O", "O", "O", "O", "O", "O", "O", "O", "O", "O", "O", "O", "O", "O", "O", "O", "O", "O", "O", "O", "O", "O", "O", "O", "O", "O", "O", "O", "O", "O", "O", "O", "O", "O", "O", "O", "O", "O", "O", "O", "O", "O", "O", "O", "O", "O", "O", "O", "O", "O", "O", "O", "O", "O", "O", "O", "O", "O", "O", "O", "O", "O", "O", "O", "O", "O", "O", "O", "O", "O", "O", "O", "O", "O", "O", "O", "O", "O", "O", "O", "O", "O", "O"],
  "fractional_positions": [[0.0000, 0.0000, 0.0000], [0.9999, 0.3190, 0.1846], [0.0012, 0.0037, 0.5072], [0.1274, 0.4884, 0.2646], [0.1344, 0.8338, 0.9172], [0.3479, 0.3315, 0.4249], [0.3562, 0.9904, 0.7496], [0.4741, 0.8309, 0.6761], [0.4798, 0.5004, 0.5035], [0.4893, 0.1600, 0.8363], [0.4957, 0.1519, 0.3493], [0.4990, 0.5022, 0.9992], [0.5106, 0.8279, 0.1822], [0.6407, 0.3339, 0.9199], [0.8367, 0.8353, 0.4261], [0.9696, 0.3237, 0.6802], [0.9863, 0.6538, 0.8456], [0.9887, 0.6623, 0.3426], [0.0002, 0.9848, 0.6548], [0.4804, 0.8281, 0.0231], [0.4840, 0.4844, 0.1573], [0.4865, 0.1638, 0.2035], [0.4889, 0.8471, 0.5278], [0.5001, 0.4953, 0.6550], [0.5014, 0.8339, 0.3277], [0.9779, 0.3335, 0.8259], [0.9794, 0.9946, 0.1555], [0.9839, 0.3362, 0.0225], [0.9958, 0.6646, 0.7024], [0.9980, 0.3264, 0.5231], [0.0019, 0.3332, 0.3298], [0.0049, 0.9931, 0.8565], [0.4795, 0.4913, 0.3620], [0.4815, 0.1510, 0.9861], [0.4846, 0.8386, 0.8264], [0.4946, 0.1688, 0.6890], [0.4982, 0.1436, 0.4966], [0.5100, 0.4845, 0.8522], [0.9746, 0.9854, 0.3559], [0.9821, 0.6573, 0.9909], [0.9854, 0.6695, 0.1959], [0.9962, 0.6511, 0.4871], [0.1432, 0.4804, 0.4227], [0.1490, 0.8471, 0.7681], [0.3321, 0.3484, 0.2675], [0.3351, 0.9803, 0.9221], [0.3503, 0.0254, 0.5979], [0.6274, 0.3367, 0.7572], [0.6538, 0.9900, 0.4245], [0.8278, 0.4897, 0.9252], [0.8487, 0.8405, 0.2585], [0.1256, 0.5274, 0.0937], [0.1261, 0.7946, 0.0903], [0.1374, 0.1760, 0.4195], [0.1377, 0.1384, 0.7617], [0.1766, 0.8256, 0.4250], [0.2065, 0.1606, 0.0860], [0.2113, 0.4926, 0.7635], [0.2709, 0.9920, 0.2631], [0.2741, 0.6596, 0.5857], [0.3027, 0.3254, 0.9268], [0.3363, 0.6395, 0.2579], [0.3386, 0.6752, 0.9226], [0.3538, 0.2982, 0.5884], [0.6242, 0.6456, 0.7671], [0.6323, 0.0206, 0.0869], [0.6317, 0.3004, 0.0862], [0.6442, 0.6688, 0.4269], [0.6961, 0.3320, 0.4192], [0.7023, 0.9905, 0.7656], [0.7173, 0.6611, 0.0934], [0.7667, 0.1628, 0.5930], [0.7855, 0.4929, 0.2620], [0.7872, 0.8291, 0.9228], [0.8325, 0.1693, 0.9272], [0.8476, 0.5197, 0.5870], [0.8485, 0.7975, 0.5848], [0.8571, 0.1452, 0.2666], [0.0582, 0.4384, 0.0914], [0.0595, 0.8829, 0.0913], [0.0609, 0.4315, 0.3669], [0.0642, 0.2058, 0.4743], [0.0641, 0.5752, 0.4342], [0.0671, 0.7514, 0.4347], [0.0700, 0.1025, 0.7080], [0.0702, 0.7513, 0.7662], [0.0700, 0.8979, 0.8221], [0.0712, 0.5694, 0.1483], [0.0717, 0.7516, 0.0351], [0.0830, 0.2280, 0.7685], [0.0836, 0.0873, 0.4065], [0.0853, 0.5766, 0.0405], [0.0856, 0.7444, 0.1427], [0.0855, 0.9067, 0.4167], [0.0961, 0.0841, 0.8133], [0.1014, 0.2402, 0.3725], [0.1085, 0.2389, 0.0837], [0.1090, 0.5691, 0.7655], [0.1127, 0.0803, 0.0848], [0.1211, 0.4117, 0.7648], [0.1309, 0.9035, 0.7085], [0.1355, 0.4125, 0.4775], [0.1473, 0.3384, 0.2744], [0.1507, 0.9931, 0.9126], [0.1663, 0.6375, 0.2497], [0.1670, 0.0151, 0.5936], [0.1683, 0.9990, 0.3134], [0.1689, 0.6760, 0.9326], [0.1700, 0.6558, 0.5348], [0.1860, 0.3033, 0.5891], [0.1900, 0.6654, 0.6410], [0.1896, 0.9914, 0.2067], [0.2088, 0.3398, 0.9792], [0.2101, 0.3042, 0.8758], [0.2672, 0.8040, 0.3736], [0.2704, 0.8393, 0.4773], [0.2914, 0.1662, 0.1414], [0.2915, 0.4920, 0.7075], [0.2927, 0.5199, 0.0937], [0.2933, 0.8001, 0.0901], [0.3051, 0.1382, 0.7592], [0.3051, 0.1779, 0.4269], [0.3091, 0.1577, 0.0352], [0.3154, 0.4990, 0.8141], [0.3282, 0.4917, 0.4139], [0.3345, 0.8388, 0.7740], [0.3411, 0.9137, 0.9783], [0.3452, 0.4044, 0.2065], [0.3606, 0.9112, 0.2639], [0.3650, 0.5781, 0.5851], [0.3677, 0.7384, 0.8753], [0.3686, 0.5842, 0.3097], [0.3732, 0.7363, 0.5826], [0.3735, 0.0688, 0.2646], [0.3879, 0.7288, 0.2651], [0.3912, 0.5863, 0.9104], [0.3927, 0.0757, 0.5384], [0.3955, 0.4055, 0.9189], [0.3966, 0.2507, 0.6414], [0.4075, 0.6028, 0.2049], [0.4086, 0.2564, 0.5333], [0.4103, 0.2508, 0.9371], [0.4113, 0.0745, 0.6580], [0.4122, 0.2537, 0.2648], [0.4134, 0.4038, 0.3192], [0.4141, 0.7051, 0.9776], [0.4147, 0.0749, 0.9341], [0.4169, 0.3881, 0.5899], [0.4217, 0.9293, 0.8691], [0.4284, 0.9278, 0.5988], [0.5435, 0.2414, 0.7468], [0.5615, 0.3889, 0.0855], [0.5614, 0.6151, 0.7103], [0.5637, 0.3842, 0.8177], [0.5643, 0.7335, 0.7790], [0.5651, 0.9491, 0.3685], [0.5665, 0.7049, 0.4778], [0.5677, 0.9314, 0.0847], [0.5772, 0.0849, 0.4384], [0.5781, 0.2527, 0.0338], [0.5833, 0.0725, 0.0363], [0.5834, 0.5806, 0.4128], [0.5841, 0.0594, 0.1425], [0.5856, 0.5838, 0.8141], [0.5904, 0.2577, 0.4247], [0.5939, 0.2560, 0.1409], [0.5990, 0.0665, 0.7619], [0.6018, 0.4014, 0.7024], [0.6026, 0.4132, 0.4117], [0.6069, 0.9096, 0.7738], [0.6212, 0.7400, 0.0919], [0.6226, 0.5812, 0.0939], [0.6285, 0.7269, 0.3756], [0.6432, 0.9182, 0.4772], [0.6446, 0.4937, 0.9114], [0.6661, 0.1662, 0.9382], [0.6668, 0.8246, 0.2619], [0.6739, 0.1626, 0.5388], [0.6747, 0.1717, 0.6464], [0.6798, 0.5151, 0.5845], [0.6821, 0.8012, 0.5840], [0.6857, 0.5110, 0.3117], [0.6860, 0.8117, 0.8726], [0.6895, 0.1486, 0.2631], [0.6987, 0.4790, 0.2072], [0.6995, 0.8412, 0.9769], [0.7813, 0.3448, 0.4743], [0.7824, 0.9773, 0.7104], [0.7919, 0.6484, 0.7634], [0.7990, 0.3090, 0.0866], [0.7999, 0.0156, 0.0844], [0.8008, 0.3172, 0.3698], [0.8078, 0.0043, 0.8155], [0.8097, 0.3229, 0.7615], [0.8116, 0.6578, 0.0401], [0.8118, 0.6639, 0.4372], [0.8115, 0.6650, 0.1473], [0.8354, 0.4196, 0.9797], [0.8367, 0.9940, 0.4122], [0.8491, 0.2285, 0.8770], [0.8546, 0.0817, 0.5942], [0.8673, 0.2404, 0.5912], [0.8743, 0.9005, 0.2011], [0.8797, 0.4128, 0.2698], [0.8824, 0.9084, 0.9156], [0.8889, 0.7537, 0.6397], [0.8919, 0.5687, 0.2536], [0.8937, 0.0818, 0.9152], [0.8938, 0.7532, 0.9311], [0.8952, 0.5716, 0.5364], [0.8971, 0.5581, 0.6428], [0.8975, 0.0841, 0.3133], [0.9064, 0.7501, 0.5328], [0.9077, 0.5826, 0.9405], [0.9118, 0.2067, 0.9789], [0.9117, 0.4305, 0.5844], [0.9141, 0.8864, 0.5842], [0.9152, 0.8893, 0.3173], [0.9166, 0.2342, 0.2770], [0.9166, 0.4465, 0.8711], [0.9176, 0.1151, 0.2094], [0.9337, 0.7450, 0.2500]]
}

---

# 2
{
  "formula": "UMnAl",
  "functional": "GGA-PBE",
  "state": "optimized geometry",
  "formation_energy_ev_per_atom": -0.08,
  "vol_a3_per_cell": 200,
  "m_tot_mub_per_atom": 0.2771,
  "lattice": [[5.0968, 0.0000, 0.0000], [0.0000, 8.7451, 0.0000], [-2.4458, 0.0000, 4.4776]],
  "species": ["U", "U", "U", "U", "Mn", "Mn", "Mn", "Mn", "Al", "Al", "Al", "Al"],
  "fractional_positions": [[0.0000, 0.1866, 0.0000], [0.0000, 0.8134, 0.0000], [0.6897, 0.2789, 0.3077], [0.6897, 0.7211, 0.3077], [0.0024, 0.0000, 0.5036], [0.3444, 0.2509, 0.6542], [0.3444, 0.7491, 0.6542], [0.4972, 0.0000, 0.9981], [0.1814, 0.5000, 0.8169], [0.1847, 0.5000, 0.3216], [0.4979, 0.0000, 0.5025], [0.6768, 0.5000, 0.8136]]
}

---

# 3
{
  "formula": "RbP2H3O6",
  "functional": "GGA-PBE",
  "state": "optimized geometry",
  "corrected_energy_ev_per_atom": -6.36,
  "formation_energy_ev_per_atom": -2.05,
  "vol_a3_per_cell": 338,
  "m_tot_mub_per_atom": 0.0000,
  "lattice": [[7.3249, 0.0000, 0.0000], [3.4460, 6.7049, 0.0000], [3.4854, -1.5034, 6.8767]],
  "species": ["Rb", "Rb", "P", "P", "P", "P", "H", "H", "H", "H", "H", "H", "O", "O", "O", "O", "O", "O", "O", "O", "O", "O", "O", "O"],
  "fractional_positions": [[0.0311, 0.3068, 0.2727], [0.9689, 0.6932, 0.7273], [0.3388, 0.0219, 0.6279], [0.4651, 0.5727, 0.1385], [0.5349, 0.4273, 0.8615], [0.6612, 0.9781, 0.3721], [0.0863, 0.7979, 0.2736], [0.3498, 0.2155, 0.8269], [0.4864, 0.6753, 0.6784], [0.5136, 0.3247, 0.3216], [0.6502, 0.7845, 0.1731], [0.9137, 0.2021, 0.7264], [0.1320, 0.1960, 0.6150], [0.2510, 0.7934, 0.1962], [0.3176, 0.4237, 0.8902], [0.3382, 0.8190, 0.6346], [0.3588, 0.0763, 0.8103], [0.3798, 0.4532, 0.2923], [0.6202, 0.5468, 0.7077], [0.6412, 0.9237, 0.1897], [0.6618, 0.1810, 0.3654], [0.6824, 0.5763, 0.1098], [0.7490, 0.2066, 0.8038], [0.8680, 0.8040, 0.3850]]
}

---

# 4
{
  "formula": "TlPF6",
  "functional": "GGA-PBE",
  "state": "optimized geometry",
  "corrected_energy_ev_per_atom": -5.22,
  "formation_energy_ev_per_atom": -2.81,
  "vol_a3_per_cell": 131,
  "lattice": [[2.8093, 1.6219, 4.7963], [-2.8093, 1.6219, 4.7963], [0.0000, -3.2439, 4.7963]],
  "species": ["Tl", "P", "F", "F", "F", "F", "F", "F"],
  "fractional_positions": [[0.0000, 0.0000, 0.0000], [0.5000, 0.5000, 0.5000], [0.1588, 0.5718, 0.5718], [0.4282, 0.4282, 0.8412], [0.4282, 0.8412, 0.4282], [0.5718, 0.1588, 0.5718], [0.5718, 0.5718, 0.1588], [0.8412, 0.4282, 0.4282]]
}

---

# 5
{
  "formula": "CrN2",
  "functional": "GGA-PBE",
  "state": "optimized geometry",
  "corrected_energy_ev_per_atom": -8.86,
  "formation_energy_ev_per_atom": -0.08,
  "vol_a3_per_cell": 2408,
  "m_tot_mub_per_atom": 0.0086,
  "lattice": [[13.4053, -10.4173, 0.0000], [13.4053, 10.4173, 0.0000], [-3.1342, 0.0000, 8.6217]],
  "species": ["Cr", "Cr", "Cr", "Cr", "Cr", "Cr", "Cr", "Cr", "Cr", "Cr", "Cr", "Cr", "Cr", "Cr", "Cr", "Cr", "Cr", "Cr", "Cr", "Cr", "Cr", "Cr", "Cr", "Cr", "Cr", "Cr", "Cr", "Cr", "Cr", "Cr", "Cr", "Cr", "N", "N", "N", "N", "N", "N", "N", "N", "N", "N", "N", "N", "N", "N", "N", "N", "N", "N", "N", "N", "N", "N", "N", "N", "N", "N", "N", "N", "N", "N", "N", "N", "N", "N", "N", "N", "N", "N", "N", "N", "N", "N", "N", "N", "N", "N", "N", "N", "N", "N", "N", "N", "N", "N", "N", "N", "N", "N", "N", "N", "N", "N", "N", "N"],
  "fractional_positions": [[0.0557, 0.6093, 0.3966], [0.0561, 0.6093, 0.7672], [0.0778, 0.7930, 0.3736], [0.0776, 0.7933, 0.9974], [0.1166, 0.1166, 0.1827], [0.1166, 0.1166, 0.5511], [0.1275, 0.4248, 0.2120], [0.1281, 0.4249, 0.8418], [0.2067, 0.9224, 0.0026], [0.2070, 0.9222, 0.6264], [0.2531, 0.2531, 0.3187], [0.2532, 0.2532, 0.6875], [0.3907, 0.9439, 0.2328], [0.3907, 0.9443, 0.6034], [0.4248, 0.1275, 0.2120], [0.4249, 0.1281, 0.8418], [0.5751, 0.8719, 0.1582], [0.5752, 0.8725, 0.7880], [0.6093, 0.0557, 0.3966], [0.6093, 0.0561, 0.7672], [0.7468, 0.7468, 0.3125], [0.7469, 0.7469, 0.6813], [0.7930, 0.0778, 0.3736], [0.7933, 0.0776, 0.9974], [0.8719, 0.5751, 0.1582], [0.8725, 0.5752, 0.7880], [0.8834, 0.8834, 0.4489], [0.8834, 0.8834, 0.8173], [0.9224, 0.2067, 0.0026], [0.9222, 0.2070, 0.6264], [0.9439, 0.3907, 0.2328], [0.9443, 0.3907, 0.6034], [0.0214, 0.1571, 0.0752], [0.0214, 0.1573, 0.6023], [0.0361, 0.3913, 0.1844], [0.0359, 0.3913, 0.7421], [0.0361, 0.6140, 0.5749], [0.0837, 0.7869, 0.1854], [0.0973, 0.6947, 0.8817], [0.0981, 0.6947, 0.4113], [0.1021, 0.1021, 0.3520], [0.1243, 0.5174, 0.7911], [0.1249, 0.5175, 0.3505], [0.1338, 0.4419, 0.0374], [0.1482, 0.8518, 0.0000], [0.1484, 0.8516, 0.5000], [0.1571, 0.0214, 0.0752], [0.1573, 0.0214, 0.6023], [0.1849, 0.1849, 0.2310], [0.1852, 0.1852, 0.6392], [0.2101, 0.3476, 0.2661], [0.2100, 0.3476, 0.7919], [0.2131, 0.9163, 0.8146], [0.2671, 0.2671, 0.5169], [0.3053, 0.9019, 0.5887], [0.3053, 0.9027, 0.1183], [0.3476, 0.2101, 0.2661], [0.3476, 0.2100, 0.7919], [0.3860, 0.9639, 0.4251], [0.3913, 0.0361, 0.1844], [0.3913, 0.0359, 0.7421], [0.4419, 0.1338, 0.0374], [0.4825, 0.8751, 0.6495], [0.4826, 0.8757, 0.2089], [0.5174, 0.1243, 0.7911], [0.5175, 0.1249, 0.3505], [0.5581, 0.8662, 0.9626], [0.6087, 0.9641, 0.2579], [0.6087, 0.9639, 0.8156], [0.6140, 0.0361, 0.5749], [0.6524, 0.7900, 0.2081], [0.6524, 0.7899, 0.7339], [0.6947, 0.0973, 0.8817], [0.6947, 0.0981, 0.4113], [0.7329, 0.7329, 0.4831], [0.7869, 0.0837, 0.1854], [0.7900, 0.6524, 0.2081], [0.7899, 0.6524, 0.7339], [0.8148, 0.8148, 0.3608], [0.8151, 0.8151, 0.7690], [0.8427, 0.9786, 0.3977], [0.8429, 0.9786, 0.9248], [0.8518, 0.1482, 0.0000], [0.8516, 0.1484, 0.5000], [0.8662, 0.5581, 0.9626], [0.8751, 0.4825, 0.6495], [0.8757, 0.4826, 0.2089], [0.8979, 0.8979, 0.6480], [0.9019, 0.3053, 0.5887], [0.9027, 0.3053, 0.1183], [0.9163, 0.2131, 0.8146], [0.9639, 0.3860, 0.4251], [0.9641, 0.6087, 0.2579], [0.9639, 0.6087, 0.8156], [0.9786, 0.8427, 0.3977], [0.9786, 0.8429, 0.9248]]
}

---

# 6
{
  "formula": "NbVCo",
  "functional": "GGA-PBE",
  "state": "optimized geometry",
  "formation_energy_ev_per_atom": -0.16,
  "vol_a3_per_cell": 167,
  "lattice": [[8.1070, 0.0000, 0.0000], [0.0000, 2.4736, 4.1596], [0.0000, -2.4736, 4.1596]],
  "species": ["Nb", "Nb", "Nb", "Nb", "V", "V", "V", "V", "Co", "Co", "Co", "Co"],
  "fractional_positions": [[0.1836, 0.0000, 0.0000], [0.3040, 0.6684, 0.6684], [0.6960, 0.6684, 0.6684], [0.8164, 0.0000, 0.0000], [0.0000, 0.4936, 0.4936], [0.5000, 0.1599, 0.1599], [0.5000, 0.1659, 0.6674], [0.5000, 0.6674, 0.1659], [0.0000, 0.4914, 0.9866], [0.0000, 0.9866, 0.4914], [0.2420, 0.3302, 0.3302], [0.7580, 0.3302, 0.3302]]
}